#i
! Na2Sr3P4 (GGA-PBE, optimized geometry); values from VASP
! total magnetic moment: 0.00 μB/cell
! SG: No. 14
&SYSTEM
  ibrav = 0, nat = 36, ntyp = 3
/
ATOMIC_SPECIES
Na 22.99 Na.upf
Sr 87.62 Sr.upf
P 30.97 P.upf
CELL_PARAMETERS angstrom
9.4724 0.0000 0.0000
0.0000 9.0677 0.0000
-7.6311 0.0000 11.1390
ATOMIC_POSITIONS crystal
Na 0.1490 0.2096 0.3628
Na 0.1490 0.2904 0.8628
Na 0.2789 0.5374 0.3142
Na 0.2789 0.9626 0.8142
Na 0.7211 0.0374 0.1858
Na 0.7211 0.4626 0.6858
Na 0.8510 0.7096 0.1372
Na 0.8510 0.7904 0.6372
Sr 0.1059 0.6649 0.9352
Sr 0.1059 0.8351 0.4352
Sr 0.2514 0.0474 0.0660
Sr 0.2514 0.4526 0.5660
Sr 0.4269 0.5463 0.8553
Sr 0.4269 0.9537 0.3553
Sr 0.5731 0.0463 0.6447
Sr 0.5731 0.4537 0.1447
Sr 0.7486 0.5474 0.4340
Sr 0.7486 0.9526 0.9340
Sr 0.8941 0.1649 0.5648
Sr 0.8941 0.3351 0.0648
P 0.0392 0.5170 0.6926
P 0.0392 0.9830 0.1926
P 0.2407 0.1212 0.6122
P 0.2407 0.3788 0.1122
P 0.4779 0.2296 0.7770
P 0.4779 0.2705 0.2770
P 0.4830 0.7250 0.5431
P 0.4830 0.7750 0.0431
P 0.5170 0.2250 0.9569
P 0.5170 0.2750 0.4569
P 0.5221 0.7296 0.7230
P 0.5221 0.7704 0.2230
P 0.7593 0.6212 0.8878
P 0.7593 0.8788 0.3878
P 0.9608 0.0170 0.8074
P 0.9608 0.4830 0.3074

***

#ii
! Na2Sr3P4 (GGA-PBE, optimized geometry); values from VASP
! SG: No. 14
&SYSTEM
  ibrav = 0, nat = 36, ntyp = 3
/
ATOMIC_SPECIES
Na 22.99 Na.upf
Sr 87.62 Sr.upf
P 30.97 P.upf
CELL_PARAMETERS angstrom
8.0113 0.0000 0.0000
0.0000 7.3755 0.0000
-8.0052 0.0000 15.2967
ATOMIC_POSITIONS crystal
Na 0.0572 0.1840 0.3746
Na 0.0572 0.3160 0.8746
Na 0.2589 0.1364 0.7497
Na 0.2589 0.3636 0.2497
Na 0.7411 0.6364 0.7503
Na 0.7411 0.8636 0.2503
Na 0.9428 0.6840 0.1254
Na 0.9428 0.8160 0.6254
Sr 0.1864 0.6842 0.3727
Sr 0.1864 0.8158 0.8727
Sr 0.2933 0.0372 0.1021
Sr 0.2933 0.4628 0.6021
Sr 0.4077 0.5368 0.1021
Sr 0.4077 0.9632 0.6021
Sr 0.5923 0.0368 0.3979
Sr 0.5923 0.4632 0.8979
Sr 0.7067 0.5372 0.3979
Sr 0.7067 0.9628 0.8979
Sr 0.8136 0.1842 0.1273
Sr 0.8136 0.3158 0.6273
P 0.0062 0.1332 0.5349
P 0.0062 0.3668 0.0349
P 0.1709 0.5206 0.7494
P 0.1709 0.9794 0.2494
P 0.3686 0.7433 0.7507
P 0.3686 0.7567 0.2507
P 0.4373 0.1350 0.9649
P 0.4373 0.3650 0.4649
P 0.5627 0.6350 0.5351
P 0.5627 0.8650 0.0351
P 0.6314 0.2433 0.7493
P 0.6314 0.2567 0.2493
P 0.8291 0.0206 0.7506
P 0.8291 0.4794 0.2506
P 0.9938 0.6332 0.9651
P 0.9938 0.8668 0.4651

***

Which structure loses on stability? #i does.

***

#i
! Ce4ThO10 (GGA-PBE, optimized geometry); values from VASP
! SG: No. 12
&SYSTEM
  ibrav = 0, nat = 30, ntyp = 3
/
ATOMIC_SPECIES
Ce 140.12 Ce.upf
Th 232.04 Th.upf
O 16.00 O.upf
CELL_PARAMETERS angstrom
15.9082 -1.9455 0.0000
15.9082 1.9455 0.0000
-0.4736 0.0000 6.7192
ATOMIC_POSITIONS crystal
Ce 0.0000 0.0000 0.0000
Ce 0.1000 0.1000 0.6999
Ce 0.2006 0.2006 0.4009
Ce 0.2996 0.2996 0.1006
Ce 0.5000 0.5000 0.5000
Ce 0.7004 0.7004 0.8994
Ce 0.7994 0.7994 0.5991
Ce 0.9000 0.9000 0.3001
Th 0.3998 0.3998 0.7998
Th 0.6002 0.6002 0.2002
O 0.0249 0.0249 0.6742
O 0.0745 0.0745 0.0212
O 0.1257 0.1257 0.3791
O 0.1754 0.1754 0.7255
O 0.2251 0.2251 0.0750
O 0.2748 0.2748 0.4249
O 0.3238 0.3238 0.7747
O 0.3744 0.3744 0.1285
O 0.4254 0.4254 0.4714
O 0.4758 0.4758 0.8247
O 0.5242 0.5242 0.1753
O 0.5746 0.5746 0.5286
O 0.6256 0.6256 0.8715
O 0.6762 0.6762 0.2253
O 0.7252 0.7252 0.5751
O 0.7749 0.7749 0.9250
O 0.8246 0.8246 0.2745
O 0.8743 0.8743 0.6209
O 0.9255 0.9255 0.9788
O 0.9751 0.9751 0.3258

***

#ii
! Ce4ThO10 (GGA-PBE, optimized geometry); values from VASP
! SG: No. 139
&SYSTEM
  ibrav = 0, nat = 15, ntyp = 3
/
ATOMIC_SPECIES
Ce 140.12 Ce.upf
Th 232.04 Th.upf
O 16.00 O.upf
CELL_PARAMETERS angstrom
-1.9427 1.9427 13.7295
1.9427 -1.9427 13.7295
1.9427 1.9427 -13.7295
ATOMIC_POSITIONS crystal
Ce 0.1015 0.1015 0.0000
Ce 0.2995 0.2995 0.0000
Ce 0.7005 0.7005 0.0000
Ce 0.8985 0.8985 0.0000
Th 0.5000 0.5000 0.0000
O 0.0516 0.5516 0.5000
O 0.1510 0.6510 0.5000
O 0.2500 0.7500 0.5000
O 0.3490 0.8490 0.5000
O 0.4484 0.9484 0.5000
O 0.5516 0.0516 0.5000
O 0.6510 0.1510 0.5000
O 0.7500 0.2500 0.5000
O 0.8490 0.3490 0.5000
O 0.9484 0.4484 0.5000

***

Which structure loses on stability? #i does.

***

#i
! RuC (GGA-PBE, optimized geometry); values from VASP
! total magnetic moment: 0.00 μB/cell
! SG: No. 216
&SYSTEM
  ibrav = 0, nat = 2, ntyp = 2
/
ATOMIC_SPECIES
Ru 101.07 Ru.upf
C 12.01 C.upf
CELL_PARAMETERS angstrom
0.0000 2.2830 2.2830
2.2830 0.0000 2.2830
2.2830 2.2830 0.0000
ATOMIC_POSITIONS crystal
Ru 0.0000 0.0000 0.0000
C 0.7500 0.7500 0.7500

***

#ii
! RuC (GGA-PBE, optimized geometry); values from VASP
! total magnetic moment: 0.00 μB/cell
! SG: No. 166
&SYSTEM
  ibrav = 0, nat = 4, ntyp = 2
/
ATOMIC_SPECIES
Ru 101.07 Ru.upf
C 12.01 C.upf
CELL_PARAMETERS angstrom
1.3928 0.8041 6.2853
-1.3928 0.8041 6.2853
0.0000 -1.6082 6.2853
ATOMIC_POSITIONS crystal
Ru 0.2289 0.2289 0.2289
Ru 0.7711 0.7711 0.7711
C 0.0371 0.0371 0.0371
C 0.9629 0.9629 0.9629

***

Which structure loses on stability? #i does.